No. 1
The following is a DFT calculation (PBE) of a relaxed structure of ZrSi.

Calculated values
Crystal system: orthorhombic

Lattice parameters (Å, degrees): 3.7791 3.7879 5.3193 69.14 90.00 90.00
Fractional positions:
Si (0.7500, 0.0789, 0.8422)
Si (0.2500, 0.9211, 0.1578)
Zr (0.2500, 0.6450, 0.7101)
Zr (0.7500, 0.3550, 0.2899)

***

No. 2
The following is a DFT calculation (PBE) of a relaxed structure of Na7Ca2La2P5SO24.

Calculated values
Crystal system: triclinic

Lattice parameters (Å, degrees): 9.6150 9.6082 22.9646 90.27 89.88 120.01
Fractional positions:
O (0.6769, 0.1525, 0.4119)
O (0.8437, 0.5039, 0.4123)
O (0.1405, 0.4900, 0.2502)
O (0.7858, 0.7868, 0.1938)
O (0.1876, 0.2100, 0.4185)
O (0.5165, 0.8470, 0.0830)
O (0.4304, 0.0915, 0.6482)
O (0.3342, 0.8498, 0.5831)
O (0.6734, 0.5527, 0.5272)
O (0.1089, 0.6605, 0.3609)
O (0.4832, 0.3572, 0.4151)
O (0.1770, 0.9978, 0.5852)
O (0.3370, 0.4510, 0.4756)
O (0.6591, 0.1456, 0.7496)
O (0.7612, 0.9942, 0.6853)
O (0.8515, 0.5129, 0.7499)
O (0.5588, 0.8863, 0.3578)
O (0.4539, 0.1352, 0.5410)
O (0.5171, 0.8406, 0.7491)
O (0.2223, 0.9992, 0.2969)
O (0.5567, 0.8865, 0.4691)
O (0.3259, 0.8889, 0.8604)
O (0.0150, 0.1968, 0.9183)
O (0.4705, 0.1569, 0.9126)
O (0.8105, 0.7947, 0.9196)
O (0.7934, 0.7862, 0.3032)
O (0.1472, 0.6626, 0.0796)
O (0.6801, 0.1330, 0.0413)
O (0.8192, 0.9929, 0.4164)
O (0.1251, 0.4616, 0.9702)
O (0.3378, 0.8951, 0.9718)
O (0.5266, 0.6866, 0.2495)
O (0.8632, 0.3567, 0.9140)
O (0.9879, 0.7735, 0.8060)
O (0.8218, 0.0017, 0.0869)
O (0.9982, 0.2236, 0.1952)
O (0.6776, 0.5242, 0.2505)
O (0.8366, 0.3211, 0.2544)
O (0.6535, 0.5498, 0.6367)
O (0.2148, 0.2267, 0.6946)
O (0.7968, 0.0088, 0.7940)
O (0.5586, 0.6714, 0.8637)
O (0.4819, 0.1255, 0.2508)
O (0.3306, 0.4861, 0.7519)
O (0.3349, 0.4692, 0.3705)
O (0.9875, 0.8071, 0.4181)
O (0.9970, 0.8184, 0.0847)
O (0.4668, 0.3424, 0.1261)
O (0.3353, 0.4856, 0.0804)
O (0.2358, 0.0028, 0.1916)
O (0.0014, 0.1791, 0.5828)
O (0.4851, 0.3362, 0.7491)
O (0.4281, 0.3218, 0.0185)
O (0.3108, 0.8345, 0.2462)
O (0.9991, 0.7830, 0.6961)
O (0.1218, 0.4556, 0.8596)
O (0.9991, 0.2209, 0.3058)
O (0.5156, 0.6691, 0.5797)
O (0.5539, 0.6635, 0.9699)
O (0.2242, 0.2145, 0.8041)
O (0.8745, 0.5588, 0.0275)
O (0.1567, 0.6770, 0.7502)
O (0.1544, 0.4862, 0.5802)
O (0.6416, 0.5050, 0.9139)
O (0.1671, 0.9862, 0.9204)
O (0.8893, 0.5454, 0.1361)
O (0.1833, 0.1791, 0.0822)
O (0.8801, 0.3203, 0.5290)
O (0.6534, 0.0907, 0.1483)
O (0.8226, 0.8146, 0.5816)
O (0.1000, 0.6547, 0.4723)
O (0.8982, 0.3450, 0.6377)
Na (0.3324, 0.6282, 0.1702)
Na (0.9968, 0.6713, 0.9166)
Na (0.6702, 0.9578, 0.5847)
Na (0.0241, 0.3819, 0.7547)
Na (0.3577, 0.9866, 0.7533)
Na (0.2912, 0.9551, 0.0770)
Na (0.3243, 0.2987, 0.9231)
Na (0.2948, 0.3350, 0.5894)
Na (0.6651, 0.3284, 0.3332)
Na (0.9975, 0.0078, 0.0080)
Na (0.6644, 0.2977, 0.8330)
Na (0.6718, 0.7057, 0.0903)
Na (0.9660, 0.3119, 0.4107)
Na (0.0029, 0.9861, 0.5095)
Na (0.7024, 0.6780, 0.4211)
Na (0.3334, 0.6695, 0.6663)
Na (0.6265, 0.6386, 0.7468)
Na (0.0419, 0.3401, 0.0846)
Na (0.6479, 0.9918, 0.2519)
Na (0.0378, 0.7028, 0.5814)
Na (0.9951, 0.6262, 0.2604)
P (0.3465, 0.0164, 0.5894)
P (0.6657, 0.6485, 0.5810)
P (0.3276, 0.9788, 0.9162)
P (0.9863, 0.3327, 0.5824)
P (0.6674, 0.0153, 0.0903)
P (0.3516, 0.3327, 0.0766)
P (0.9980, 0.3146, 0.2504)
P (0.0163, 0.6596, 0.4162)
P (0.0004, 0.6885, 0.7499)
P (0.9794, 0.6486, 0.0817)
P (0.6832, 0.9961, 0.7436)
P (0.6464, 0.9755, 0.4138)
P (0.6916, 0.6940, 0.2483)
P (0.0326, 0.3680, 0.9156)
P (0.3124, 0.3157, 0.7492)
La (0.6663, 0.3175, 0.9850)
La (0.6670, 0.3322, 0.6777)
La (0.9952, 0.0046, 0.8473)
La (0.6617, 0.3198, 0.4856)
La (0.0062, 0.0010, 0.3484)
La (0.6651, 0.3362, 0.1794)
S (0.6396, 0.6601, 0.9169)
S (0.3357, 0.3730, 0.4201)
S (0.3120, 0.9905, 0.2458)
Ca (0.3363, 0.6756, 0.0133)
Ca (0.9969, 0.9996, 0.6546)
Ca (0.3325, 0.6815, 0.5119)
Ca (0.3338, 0.6687, 0.3182)
Ca (0.0033, 0.0084, 0.1540)
Ca (0.3356, 0.6760, 0.8201)

***

No. 3
The following is a DFT calculation (PBE) of a relaxed structure of K2CdC4O10.

Calculated values
Crystal system: orthorhombic

Lattice parameters (Å, degrees): 11.8123 9.8821 8.5148 79.51 55.35 45.14
Fractional positions:
C (0.2825, 0.9847, 0.5379)
C (0.7121, 0.0552, 0.9675)
C (0.2653, 0.9675, 0.0552)
C (0.0562, 0.6697, 0.2149)
C (0.5803, 0.1938, 0.1907)
C (0.0593, 0.2149, 0.6697)
C (0.0351, 0.1907, 0.1938)
C (0.1948, 0.5379, 0.9847)
O (0.4022, 0.2754, 0.3207)
O (0.7738, 0.6790, 0.1600)
O (0.5710, 0.4762, 0.8628)
O (0.0900, 0.8628, 0.4762)
O (0.2146, 0.6171, 0.8509)
O (0.0017, 0.3207, 0.2754)
O (0.3991, 0.9326, 0.0354)
O (0.9029, 0.2221, 0.2140)
O (0.6610, 0.2140, 0.2221)
O (0.4132, 0.9499, 0.3570)
O (0.2798, 0.3570, 0.9499)
O (0.3872, 0.1600, 0.6790)
O (0.0360, 0.5890, 0.3471)
O (0.9293, 0.2483, 0.8478)
O (0.3001, 0.8368, 0.9702)
O (0.3174, 0.8509, 0.6171)
O (0.9746, 0.8478, 0.2483)
O (0.0279, 0.3471, 0.5890)
O (0.8930, 0.9702, 0.8368)
O (0.6329, 0.0354, 0.9326)
Cd (0.2843, 0.2157, 0.2157)
Cd (0.0343, 0.9657, 0.9657)
K (0.6771, 0.6828, 0.5904)
K (0.0497, 0.5904, 0.6828)
K (0.5672, 0.5729, 0.2003)
K (0.6596, 0.2003, 0.5729)

***

No. 4
The following is a DFT calculation (PBE) of a relaxed structure of TiCrP.

Calculated values
Crystal system: hexagonal

Lattice parameters (Å, degrees): 6.4108 6.4108 3.2396 90.00 90.00 120.00
Fractional positions:
Ti (0.5951, 0.0000, 0.5000)
Ti (0.4049, 0.4049, 0.5000)
Ti (0.0000, 0.5951, 0.5000)
P (0.0000, 0.0000, 0.5000)
P (0.6667, 0.3333, 0.0000)
P (0.3333, 0.6667, 0.0000)
Cr (0.2538, 0.0000, 0.0000)
Cr (0.0000, 0.2538, 0.0000)
Cr (0.7462, 0.7462, 0.0000)

***

No. 5
The following is a DFT calculation (PBE) of a relaxed structure of Li2SiAu.

Calculated values
Crystal system: cubic

Lattice parameters (Å, degrees): 4.3108 4.3108 4.3108 60.00 60.00 60.00
Fractional positions:
Li (0.2500, 0.2500, 0.2500)
Li (0.0000, 0.0000, 0.0000)
Au (0.7500, 0.7500, 0.7500)
Si (0.5000, 0.5000, 0.5000)

***

No. 6
The following is a DFT calculation (PBE) of a relaxed structure of Cs4MnAs2S8.

Calculated values
Crystal system: triclinic

Lattice parameters (Å, degrees): 9.6023 9.7625 11.5845 105.22 104.62 90.75
Fractional positions:
S (0.8030, 0.3973, 0.9223)
S (0.9073, 0.8394, 0.8911)
S (0.3896, 0.9173, 0.2469)
S (0.2606, 0.8679, 0.8922)
S (0.6104, 0.0827, 0.7531)
S (0.4351, 0.4087, 0.7385)
S (0.9931, 0.7499, 0.5925)
S (0.0927, 0.1606, 0.1089)
S (0.1970, 0.6027, 0.0777)
S (0.9830, 0.8875, 0.2215)
S (0.0170, 0.1125, 0.7785)
S (0.5649, 0.5913, 0.2615)
S (0.7153, 0.3278, 0.5903)
S (0.7394, 0.1321, 0.1078)
S (0.0069, 0.2501, 0.4075)
S (0.2847, 0.6722, 0.4097)
Cs (0.0679, 0.4782, 0.7501)
Cs (0.9321, 0.5218, 0.2499)
Cs (0.4011, 0.2571, 0.9848)
Cs (0.7610, 0.9824, 0.4562)
Cs (0.5989, 0.7429, 0.0152)
Cs (0.3816, 0.3170, 0.3759)
Cs (0.6184, 0.6830, 0.6241)
Cs (0.2390, 0.0176, 0.5438)
As (0.0455, 0.8902, 0.7798)
As (0.3628, 0.6935, 0.2537)
As (0.9545, 0.1098, 0.2202)
As (0.6372, 0.3065, 0.7463)
Mn (0.8508, 0.1392, 0.9274)
Mn (0.1492, 0.8608, 0.0726)

***

No. 7
The following is a DFT calculation (PBE) of a relaxed structure of PrRh.

Calculated values
Crystal system: orthorhombic

Lattice parameters (Å, degrees): 5.8753 5.8753 4.3083 90.00 90.00 140.46
Fractional positions:
Rh (0.5849, 0.4151, 0.7500)
Rh (0.4151, 0.5849, 0.2500)
Pr (0.8592, 0.1408, 0.7500)
Pr (0.1408, 0.8592, 0.2500)

***

No. 8
The following is a DFT calculation (PBE) of a relaxed structure of YGePd.

Calculated values
Crystal system: orthorhombic

Lattice parameters (Å, degrees): 11.4705 11.4705 11.4705 157.81 141.00 45.32
Fractional positions:
Ge (0.2190, 0.0650, 0.1539)
Ge (0.5617, 0.4061, 0.1556)
Ge (0.7495, 0.5939, 0.1556)
Ge (0.0889, 0.9350, 0.1539)
Ge (0.6032, 0.7653, 0.8380)
Ge (0.0727, 0.2347, 0.8380)
Pd (0.2513, 0.4281, 0.8232)
Pd (0.4341, 0.2671, 0.1670)
Pd (0.3951, 0.5719, 0.8232)
Pd (0.9303, 0.1042, 0.8261)
Pd (0.8999, 0.7329, 0.1670)
Pd (0.7220, 0.8958, 0.8261)
Y (0.5339, 0.0000, 0.5339)
Y (0.8691, 0.3335, 0.5356)
Y (0.2898, 0.8327, 0.4571)
Y (0.6245, 0.1673, 0.4571)
Y (0.2020, 0.6665, 0.5356)
Y (0.9517, 0.5000, 0.4517)

***

Number 1: energy relative to the elements -899 meV per atom. Number 2: energy relative to the elements -2887 meV per atom. Number 3: energy relative to the elements -1331 meV per atom. Number 4: energy relative to the elements -951 meV per atom. Number 5: energy relative to the elements -457 meV per atom. Number 6: energy relative to the elements -996 meV per atom. Number 7: energy relative to the elements -648 meV per atom. Number 8: energy relative to the elements -995 meV per atom.